No. 1
Sc7NCl12 | GGA-PBE | optimized geometry

Lattice parameters (Å, degrees): 8.138 8.138 8.138 107.65 107.65 107.65
Sites, in units of the cell vectors:
Sc: 0.298 0.028 0.099
Sc: 0.028 0.099 0.298
Sc: 0.099 0.298 0.028
Sc: 0.702 0.972 0.901
Sc: 0.972 0.901 0.702
Sc: 0.901 0.702 0.972
Sc: 0.500 0.500 0.500
N: 0.000 0.000 0.000
Cl: 0.459 0.381 0.155
Cl: 0.381 0.155 0.459
Cl: 0.155 0.459 0.381
Cl: 0.541 0.619 0.845
Cl: 0.619 0.845 0.541
Cl: 0.845 0.541 0.619
Cl: 0.222 0.690 0.076
Cl: 0.076 0.222 0.690
Cl: 0.690 0.076 0.222
Cl: 0.778 0.310 0.924
Cl: 0.924 0.778 0.310
Cl: 0.310 0.924 0.778

Summary:
**Calculated density**: 2.84 Mg/m³
**E (MP2020)**: -6.0457 eV per atom
**Formation enthalpy at 0 K**: -4445 kJ/mol of formula units


No. 2
Tm2CdOs | GGA-PBE | optimized geometry

Lattice parameters (Å, degrees): 4.952 4.952 4.952 60.00 60.00 60.00
Sites, in units of the cell vectors:
Tm: 0.750 0.750 0.750
Tm: 0.250 0.250 0.250
Cd: 0.500 0.500 0.500
Os: 0.000 0.000 0.000

Summary:
**Calculated density**: 12.38 Mg/m³
**Formation enthalpy at 0 K**: -102 kJ/mol of formula units


No. 3
CuHg2N2 | GGA-PBE | optimized geometry

Lattice parameters (Å, degrees): 5.365 5.365 5.365 133.99 133.99 67.10
Sites, in units of the cell vectors:
Cu: 0.000 0.000 0.000
Hg: 0.750 0.250 0.500
Hg: 0.250 0.750 0.500
N: 0.500 0.000 0.500
N: 0.000 0.500 0.500

Summary:
**Calculated density**: 10.41 Mg/m³
**E (MP2020)**: -3.1001 eV per atom
**Magnetic moment**: 0.0 μB per cell
**Formation enthalpy at 0 K**: 567 kJ/mol of formula units


No. 4
DyCdAg2 | GGA-PBE | optimized geometry

Lattice parameters (Å, degrees): 4.956 4.956 4.956 60.00 60.00 60.00
Sites, in units of the cell vectors:
Dy: 0.000 0.000 0.000
Cd: 0.500 0.500 0.500
Ag: 0.750 0.750 0.750
Ag: 0.250 0.250 0.250

Summary:
**Calculated density**: 9.47 Mg/m³
**Formation enthalpy at 0 K**: -110 kJ/mol of formula units


No. 5
K4Ba2SnBi4 | GGA-PBE | optimized geometry

Lattice parameters (Å, degrees): 11.560 11.560 8.441 89.17 89.17 60.73
Sites, in units of the cell vectors:
K: 0.960 0.520 0.373
K: 0.520 0.960 0.373
K: 0.708 0.141 0.180
K: 0.141 0.708 0.180
K: 0.148 0.148 0.187
K: 0.291 0.856 0.671
K: 0.856 0.291 0.671
K: 0.854 0.854 0.663
Ba: 0.522 0.522 0.371
Ba: 0.035 0.484 0.872
Ba: 0.484 0.035 0.872
Ba: 0.483 0.483 0.871
Sn: 0.332 0.332 0.498
Sn: 0.666 0.666 0.000
Bi: 0.382 0.806 0.103
Bi: 0.806 0.382 0.103
Bi: 0.808 0.808 0.089
Bi: 0.613 0.198 0.608
Bi: 0.198 0.613 0.608
Bi: 0.193 0.193 0.619
Bi: 0.337 0.337 0.140
Bi: 0.664 0.664 0.649

Summary:
**Calculated density**: 4.68 Mg/m³
**Formation enthalpy at 0 K**: -581 kJ/mol of formula units


No. 6
AlCu3S6 | GGA-PBE | optimized geometry

Lattice parameters (Å, degrees): 15.597 15.597 15.597 160.97 160.97 27.04
Sites, in units of the cell vectors:
Al: 0.250 0.750 0.500
Al: 0.500 0.500 0.000
Cu: 0.665 0.665 0.000
Cu: 0.335 0.335 0.000
Cu: 0.000 0.000 0.000
Cu: 0.085 0.585 0.500
Cu: 0.750 0.250 0.500
Cu: 0.415 0.915 0.500
S: 0.875 0.382 0.007
S: 0.552 0.038 0.002
S: 0.198 0.700 0.986
S: 0.962 0.965 0.514
S: 0.618 0.625 0.493
S: 0.300 0.285 0.498
S: 0.375 0.868 0.993
S: 0.035 0.550 0.998
S: 0.715 0.212 0.014
S: 0.450 0.448 0.486
S: 0.132 0.125 0.507
S: 0.788 0.802 0.502

Summary:
**Calculated density**: 3.38 Mg/m³
**E (MP2020)**: -4.4722 eV per atom
**Magnetic moment**: 0.9 μB per cell
**Formation enthalpy at 0 K**: -372 kJ/mol of formula units


No. 7
Na3Mn | GGA-PBE | optimized geometry

Lattice parameters (Å, degrees): 6.124 6.124 6.124 134.19 134.19 66.79
Sites, in units of the cell vectors:
Na: 0.750 0.250 0.500
Na: 0.250 0.750 0.500
Na: 0.500 0.500 0.000
Mn: 0.000 0.000 0.000

Summary:
**Calculated density**: 1.77 Mg/m³
**Magnetic moment**: 4.4 μB per cell
**Formation enthalpy at 0 K**: 201 kJ/mol of formula units


No. 8
SiO2 | GGA-PBE | optimized geometry

Lattice parameters (Å, degrees): 6.922 6.922 7.136 90.00 90.00 90.00
Sites, in units of the cell vectors:
Si: 0.205 0.452 0.949
Si: 0.048 0.295 0.551
Si: 0.952 0.705 0.551
Si: 0.452 0.795 0.051
Si: 0.795 0.548 0.949
Si: 0.705 0.048 0.449
Si: 0.295 0.952 0.449
Si: 0.548 0.205 0.051
O: 0.159 0.817 0.581
O: 0.341 0.317 0.081
O: 0.659 0.683 0.081
O: 0.000 0.500 0.051
O: 0.158 0.342 0.750
O: 0.500 0.000 0.949
O: 0.683 0.341 0.919
O: 0.317 0.659 0.919
O: 0.000 0.500 0.449
O: 0.841 0.183 0.581
O: 0.500 0.000 0.551
O: 0.183 0.159 0.419
O: 0.817 0.841 0.419
O: 0.658 0.158 0.250
O: 0.342 0.842 0.250
O: 0.842 0.658 0.750

Summary:
**Calculated density**: 2.33 Mg/m³
**E (MP2020)**: -8.3010 eV per atom
**Piezoelectric modulus e_max**: 0.023 C/m²
**Formation enthalpy at 0 K**: -924 kJ/mol of formula units